Fe4O5F3: optimized geometry, PBE with a Hubbard U.

Lattice parameters (Å, degrees): 4.741 6.073 9.942 107.70 92.18 90.10
Space group P1 (No. 1)
Asymmetric unit:
Fe: 0.000 0.000 0.000
Fe: 0.001 0.756 0.498
Fe: 0.031 0.245 0.480
Fe: 0.053 0.500 0.974
Fe: 0.449 0.389 0.246
Fe: 0.489 0.883 0.260
Fe: 0.514 0.626 0.734
Fe: 0.550 0.132 0.753
O: 0.188 0.299 0.086
O: 0.196 0.802 0.090
O: 0.208 0.548 0.587
O: 0.292 0.682 0.347
O: 0.304 0.175 0.336
O: 0.351 0.423 0.831
O: 0.709 0.833 0.651
O: 0.810 0.959 0.403
O: 0.829 0.704 0.892
O: 0.837 0.205 0.898
F: 0.222 0.058 0.598
F: 0.325 0.931 0.843
F: 0.679 0.580 0.153
F: 0.691 0.082 0.148
F: 0.727 0.325 0.639
F: 0.796 0.450 0.391

- E_tot: -6.045 eV/atom
- E above lowest polymorph: 36 meV per atom